1.
# Ho3SbO7 (PBE, relaxed)
# - Raw total energy: -7.776 eV/atom
# - Size of the total moment: 0.00 μB per formula unit
# - Total energy after the MP2020 corrections: -8.213 eV per atom
data_Ho3SbO7
_chemical_formula_sum 'Ho12 Sb4 O28'
_cell_length_a 7.484
_cell_length_b 10.545
_cell_length_c 7.504
_cell_angle_alpha 90.00
_cell_angle_beta 90.00
_cell_angle_gamma 90.00
_symmetry_space_group_name_H-M 'C 2 2 21'
_symmetry_Int_Tables_number 20
_symmetry_space_group_name_Hall 'C 2c 2'
loop_
_atom_site_label
_atom_site_fract_x
_atom_site_fract_y
_atom_site_fract_z
Ho1 0.014 0.000 0.000
Ho2 0.234 0.266 0.753
Sb1 0.000 0.500 0.000
O1 0.000 0.130 0.250
O2 0.000 0.138 0.750
O3 0.000 0.429 0.750
O4 0.193 0.373 0.033
O5 0.201 0.376 0.472



2.
# HoSbO4 (PBE, relaxed)
# - Raw total energy: -7.164 eV/atom
# - Total energy after the MP2020 corrections: -7.622 eV per atom
data_HoSbO4
_chemical_formula_sum 'Ho4 Sb4 O16'
_cell_length_a 7.684
_cell_length_b 5.383
_cell_length_c 7.556
_cell_angle_alpha 90.00
_cell_angle_beta 98.89
_cell_angle_gamma 90.00
_symmetry_space_group_name_H-M 'P 1 21/c 1'
_symmetry_Int_Tables_number 14
_symmetry_space_group_name_Hall '-P 2ybc'
loop_
_atom_site_label
_atom_site_fract_x
_atom_site_fract_y
_atom_site_fract_z
Ho1 0.149 0.227 0.383
Sb1 0.339 0.735 0.192
O1 0.114 0.535 0.179
O2 0.185 0.022 0.117
O3 0.326 0.616 0.939
O4 0.430 0.091 0.807



3.
# Ho2SbO2 (PBE, relaxed)
# - Raw total energy: -7.373 eV/atom
# - Total energy after the MP2020 corrections: -7.648 eV per atom
data_Ho2SbO2
_chemical_formula_sum 'Ho4 Sb2 O4'
_cell_length_a 3.834
_cell_length_b 3.834
_cell_length_c 13.321
_cell_angle_alpha 90.00
_cell_angle_beta 90.00
_cell_angle_gamma 90.00
_symmetry_space_group_name_H-M 'I 4/m m m'
_symmetry_Int_Tables_number 139
_symmetry_space_group_name_Hall '-I 4 2'
loop_
_atom_site_label
_atom_site_fract_x
_atom_site_fract_y
_atom_site_fract_z
Ho1 0.000 0.000 0.166
Sb1 0.000 0.000 0.500
O1 0.000 0.500 0.250



4.
# Ho2Sb2O7 (PBE, relaxed)
# - Raw total energy: -7.124 eV/atom
# - Size of the total moment: 0.00 μB per formula unit
# - Total energy after the MP2020 corrections: -7.561 eV per atom
# - Energy above the lowest structure with this stoichiometry: 0 meV per atom
data_Ho2Sb2O7
_chemical_formula_sum 'Ho12 Sb12 O42'
_cell_length_a 7.5288
_cell_length_b 7.5288
_cell_length_c 18.5261
_cell_angle_alpha 90.00
_cell_angle_beta 90.00
_cell_angle_gamma 120.00
_symmetry_space_group_name_H-M 'P 31 2 1'
_symmetry_Int_Tables_number 152
_symmetry_space_group_name_Hall 'P 31 2"'
loop_
_atom_site_label
_atom_site_fract_x
_atom_site_fract_y
_atom_site_fract_z
Ho1 0.0000 0.8258 0.1667
Ho2 0.0000 0.8364 0.6667
Ho3 0.1821 0.6836 0.5113
Sb1 0.0000 0.3005 0.1667
Sb2 0.0000 0.3286 0.6667
Sb3 0.1675 0.6692 0.0012
O1 0.0064 0.3357 0.7901
O2 0.0086 0.8089 0.0303
O3 0.0165 0.8517 0.7845
O4 0.0445 0.4264 0.3074
O5 0.1060 0.6564 0.8943
O6 0.2012 0.6765 0.6391
O7 0.2332 0.6925 0.1063



5.
# Ho3SbO3 (PBE, relaxed)
# - Raw total energy: -7.542 eV/atom
# - Size of the total moment: 0.00 μB per formula unit
# - Total energy after the MP2020 corrections: -7.836 eV per atom
data_Ho3SbO3
_chemical_formula_sum 'Ho12 Sb4 O12'
_cell_length_a 13.053
_cell_length_b 3.853
_cell_length_c 11.693
_cell_angle_alpha 90.00
_cell_angle_beta 118.28
_cell_angle_gamma 90.00
_symmetry_space_group_name_H-M 'C 1 2/m 1'
_symmetry_Int_Tables_number 12
_symmetry_space_group_name_Hall '-C 2y'
loop_
_atom_site_label
_atom_site_fract_x
_atom_site_fract_y
_atom_site_fract_z
Ho1 0.121 0.000 0.443
Ho2 0.128 0.000 0.902
Ho3 0.158 0.500 0.208
Sb1 0.118 0.500 0.680
O1 0.063 0.000 0.191
O2 0.165 0.500 0.016
O3 0.189 0.500 0.409



6.
# HoZnSb2O6 (PBE, relaxed)
# - Raw total energy: -6.214 eV/atom
# - Size of the total moment: 0.00 μB per formula unit
# - Total energy after the MP2020 corrections: -6.626 eV per atom
data_HoZnSb2O6
_chemical_formula_sum 'Ho2 Zn2 Sb4 O12'
_cell_length_a 5.559
_cell_length_b 6.336
_cell_length_c 8.595
_cell_angle_alpha 83.50
_cell_angle_beta 89.68
_cell_angle_gamma 85.81
_symmetry_space_group_name_H-M 'P 1'
_symmetry_Int_Tables_number 1
_symmetry_space_group_name_Hall 'P 1'
loop_
_atom_site_label
_atom_site_fract_x
_atom_site_fract_y
_atom_site_fract_z
Ho1 0.000 0.000 0.000
Ho2 0.483 0.340 0.491
Zn1 0.469 0.241 0.959
Zn2 0.976 0.068 0.485
Sb1 0.426 0.830 0.734
Sb2 0.466 0.912 0.265
Sb3 0.930 0.426 0.738
Sb4 0.961 0.503 0.224
O1 0.095 0.384 0.429
O2 0.126 0.763 0.843
O3 0.161 0.766 0.209
O4 0.215 0.202 0.813
O5 0.264 0.169 0.154
O6 0.311 0.953 0.489
O7 0.504 0.542 0.674
O8 0.629 0.904 0.060
O9 0.639 0.622 0.340
O10 0.702 0.109 0.335
O11 0.777 0.173 0.651
O12 0.789 0.328 0.949



7.
# Ho2Se3O20 (PBE, relaxed)
# - Raw total energy: -4.974 eV/atom
# - Size of the total moment: 16.00 μB per formula unit
# - Total energy after the MP2020 corrections: -5.523 eV per atom
data_Ho2Se3O20
_chemical_formula_sum 'Ho8 Se12 O80'
_cell_length_a 12.616
_cell_length_b 6.946
_cell_length_c 19.505
_cell_angle_alpha 90.00
_cell_angle_beta 99.74
_cell_angle_gamma 90.00
_symmetry_space_group_name_H-M 'C 1 2/c 1'
_symmetry_Int_Tables_number 15
_symmetry_space_group_name_Hall '-C 2yc'
loop_
_atom_site_label
_atom_site_fract_x
_atom_site_fract_y
_atom_site_fract_z
Ho1 0.162 0.016 0.394
Se1 0.000 0.282 0.250
Se2 0.207 0.027 0.085
O1 0.005 0.180 0.857
O2 0.014 0.211 0.420
O3 0.033 0.425 0.186
O4 0.102 0.143 0.286
O5 0.117 0.033 0.140
O6 0.146 0.067 0.003
O7 0.152 0.469 0.573
O8 0.194 0.466 0.182
O9 0.200 0.307 0.887
O10 0.231 0.315 0.413



8.
# Ho2Se3O12 (PBE, relaxed)
# - Raw total energy: -6.252 eV/atom
# - Size of the total moment: 0.00 μB per formula unit
# - Total energy after the MP2020 corrections: -6.736 eV per atom
# - Energy above the lowest structure with this stoichiometry: 1 meV per atom
data_Ho2Se3O12
_chemical_formula_sum 'Ho8 Se12 O48'
_cell_length_a 13.428
_cell_length_b 9.656
_cell_length_c 9.747
_cell_angle_alpha 90.00
_cell_angle_beta 90.00
_cell_angle_gamma 90.00
_symmetry_space_group_name_H-M 'P b c n'
_symmetry_Int_Tables_number 60
_symmetry_space_group_name_Hall '-P 2n 2ab'
loop_
_atom_site_label
_atom_site_fract_x
_atom_site_fract_y
_atom_site_fract_z
Ho1 0.118 0.250 0.038
Se1 0.000 0.035 0.750
Se2 0.147 0.394 0.388
O1 0.034 0.333 0.426
O2 0.065 0.135 0.855
O3 0.081 0.062 0.163
O4 0.148 0.435 0.906
O5 0.176 0.356 0.227
O6 0.227 0.322 0.496



9.
# Ho2Se3O12 (PBE, relaxed)
# - Raw total energy: -6.167 eV/atom
# - Size of the total moment: 0.00 μB per formula unit
# - Total energy after the MP2020 corrections: -6.652 eV per atom
# - Energy above the lowest structure with this stoichiometry: 86 meV per atom
data_Ho2Se3O12
_chemical_formula_sum 'Ho8 Se12 O48'
_cell_length_a 7.094
_cell_length_b 11.594
_cell_length_c 11.305
_cell_angle_alpha 90.00
_cell_angle_beta 108.18
_cell_angle_gamma 90.00
_symmetry_space_group_name_H-M 'C 1 2/c 1'
_symmetry_Int_Tables_number 15
_symmetry_space_group_name_Hall '-C 2yc'
loop_
_atom_site_label
_atom_site_fract_x
_atom_site_fract_y
_atom_site_fract_z
Ho1 0.167 0.125 0.095
Se1 0.000 0.120 0.750
Se2 0.157 0.371 0.575
O1 0.023 0.447 0.894
O2 0.052 0.285 0.456
O3 0.121 0.200 0.878
O4 0.161 0.050 0.458
O5 0.170 0.044 0.712
O6 0.220 0.193 0.289



10.
# Ho2SeO2 (PBE, relaxed)
# - Raw total energy: -7.643 eV/atom
# - Total energy after the MP2020 corrections: -7.918 eV per atom
data_Ho2SeO2
_chemical_formula_sum 'Ho2 Se1 O2'
_cell_length_a 3.8263
_cell_length_b 3.8263
_cell_length_c 6.8078
_cell_angle_alpha 90.00
_cell_angle_beta 90.00
_cell_angle_gamma 120.00
_symmetry_space_group_name_H-M 'P -3 m 1'
_symmetry_Int_Tables_number 164
_symmetry_space_group_name_Hall '-P 3 2"'
loop_
_atom_site_label
_atom_site_fract_x
_atom_site_fract_y
_atom_site_fract_z
Ho1 0.3333 0.6667 0.2914
Se1 0.0000 0.0000 0.0000
O1 0.3333 0.6667 0.6256



11.
# Ho2Se3O12 (PBE, relaxed)
# - Raw total energy: -6.253 eV/atom
# - Total energy after the MP2020 corrections: -6.738 eV per atom
# - Energy above the lowest structure with this stoichiometry: 0 meV per atom
data_Ho2Se3O12
_chemical_formula_sum 'Ho12 Se18 O72'
_cell_length_a 9.6256
_cell_length_b 9.6256
_cell_length_c 24.6400
_cell_angle_alpha 90.00
_cell_angle_beta 90.00
_cell_angle_gamma 120.00
_symmetry_space_group_name_H-M 'R -3 c'
_symmetry_Int_Tables_number 167
_symmetry_space_group_name_Hall '-R 3 2"c'
loop_
_atom_site_label
_atom_site_fract_x
_atom_site_fract_y
_atom_site_fract_z
Ho1 0.0000 0.0000 0.1440
Se1 0.0000 0.2883 0.2500
O1 0.0265 0.1986 0.9094
O2 0.0310 0.2059 0.1953



What are the E_form values for these records? In order: -3.439; -2.872; -3.010; -2.828; -3.162; -2.248; -0.779; -2.088; -2.003; -3.407; -2.089 eV/atom.